## w
A geometry-optimized GaAgP2Se6 structure. Source: Materials Project, functional PBE.

a b c (Å): 6.458 6.458 14.952
angles (deg): 90.00 90.00 120.00
Positions (direct):
Ga: 0.000 0.000 0.250
Ga: 0.000 0.000 0.750
Ag: 0.333 0.667 0.250
Ag: 0.667 0.333 0.750
P: 0.333 0.667 0.674
P: 0.333 0.667 0.826
P: 0.667 0.333 0.174
P: 0.667 0.333 0.326
Se: 0.020 0.319 0.866
Se: 0.020 0.701 0.634
Se: 0.299 0.319 0.634
Se: 0.299 0.980 0.866
Se: 0.319 0.020 0.366
Se: 0.319 0.299 0.134
Se: 0.681 0.701 0.866
Se: 0.681 0.980 0.634
Se: 0.701 0.020 0.134
Se: 0.701 0.681 0.366
Se: 0.980 0.299 0.366
Se: 0.980 0.681 0.134

total moment = 0.00 μB/atom
SG = No. 163
calculated volume = 270.0 Å³/f.u.
density = 4.39 g cm⁻³


## x
A geometry-optimized GaAgP2Se6 structure. Source: Materials Project, functional PBE.

a b c (Å): 7.722 12.338 23.047
angles (deg): 90.00 90.00 90.00
Positions (direct):
Ga: 0.229 0.136 0.158
Ga: 0.229 0.364 0.658
Ga: 0.271 0.636 0.158
Ga: 0.271 0.864 0.658
Ga: 0.729 0.136 0.342
Ga: 0.729 0.364 0.842
Ga: 0.771 0.636 0.342
Ga: 0.771 0.864 0.842
Ag: 0.157 0.600 0.984
Ag: 0.157 0.900 0.484
Ag: 0.343 0.100 0.984
Ag: 0.343 0.400 0.484
Ag: 0.657 0.600 0.516
Ag: 0.657 0.900 0.016
Ag: 0.843 0.100 0.516
Ag: 0.843 0.400 0.016
P: 0.045 0.099 0.657
P: 0.045 0.401 0.157
P: 0.242 0.630 0.588
P: 0.242 0.870 0.088
P: 0.258 0.130 0.588
P: 0.258 0.370 0.088
P: 0.455 0.599 0.657
P: 0.455 0.901 0.157
P: 0.545 0.099 0.843
P: 0.545 0.401 0.343
P: 0.742 0.630 0.912
P: 0.742 0.870 0.412
P: 0.758 0.130 0.912
P: 0.758 0.370 0.412
P: 0.955 0.599 0.843
P: 0.955 0.901 0.343
Se: 0.025 0.737 0.309
Se: 0.025 0.763 0.809
Se: 0.044 0.733 0.632
Se: 0.044 0.767 0.132
Se: 0.129 0.036 0.069
Se: 0.129 0.464 0.569
Se: 0.151 0.196 0.507
Se: 0.151 0.304 0.007
Se: 0.174 0.511 0.880
Se: 0.174 0.989 0.380
Se: 0.186 0.006 0.726
Se: 0.186 0.494 0.226
Se: 0.314 0.506 0.726
Se: 0.314 0.994 0.226
Se: 0.326 0.011 0.880
Se: 0.326 0.489 0.380
Se: 0.349 0.696 0.507
Se: 0.349 0.804 0.007
Se: 0.371 0.536 0.069
Se: 0.371 0.964 0.569
Se: 0.456 0.233 0.632
Se: 0.456 0.267 0.132
Se: 0.475 0.237 0.309
Se: 0.475 0.263 0.809
Se: 0.525 0.737 0.191
Se: 0.525 0.763 0.691
Se: 0.544 0.733 0.868
Se: 0.544 0.767 0.368
Se: 0.629 0.036 0.431
Se: 0.629 0.464 0.931
Se: 0.651 0.196 0.993
Se: 0.651 0.304 0.493
Se: 0.674 0.511 0.620
Se: 0.674 0.989 0.120
Se: 0.686 0.006 0.774
Se: 0.686 0.494 0.274
Se: 0.814 0.506 0.774
Se: 0.814 0.994 0.274
Se: 0.826 0.011 0.620
Se: 0.826 0.489 0.120
Se: 0.849 0.696 0.993
Se: 0.849 0.804 0.493
Se: 0.871 0.536 0.431
Se: 0.871 0.964 0.931
Se: 0.956 0.233 0.868
Se: 0.956 0.267 0.368
Se: 0.975 0.237 0.191
Se: 0.975 0.263 0.691

total moment = 0.00 μB/atom
SG = No. 61
calculated volume = 274.5 Å³/f.u.
density = 4.32 g cm⁻³


Energy relative to the most stable one, in kJ/mol of atoms: w 1.6; x 0.0


## w
A geometry-optimized LiNb2Te4Cl10O structure. Source: Materials Project, functional PBE.

a b c (Å): 7.220 8.837 9.549
angles (deg): 82.94 88.96 77.18
Positions (direct):
Li: 0.000 0.000 0.000
Nb: 0.049 0.646 0.038
Nb: 0.094 0.927 0.312
Te: 0.377 0.394 0.495
Te: 0.444 0.122 0.678
Te: 0.635 0.507 0.639
Te: 0.676 0.249 0.837
Cl: 0.005 0.494 0.854
Cl: 0.114 0.123 0.471
Cl: 0.197 0.815 0.865
Cl: 0.240 0.082 0.129
Cl: 0.349 0.491 0.097
Cl: 0.406 0.782 0.383
Cl: 0.753 0.839 0.963
Cl: 0.796 0.091 0.227
Cl: 0.885 0.511 0.202
Cl: 0.949 0.787 0.488
O: 0.075 0.793 0.172

total moment = 0.06 μB/atom
SG = No. 1
calculated volume = 589.5 Å³/f.u.
density = 3.02 g cm⁻³


## x
A geometry-optimized LiNb2Te4Cl10O structure. Source: Materials Project, functional PBE.

a b c (Å): 7.043 8.868 9.579
angles (deg): 97.07 90.26 105.09
Positions (direct):
Li: 0.000 0.000 0.000
Nb: 0.471 0.999 0.864
Nb: 0.506 0.720 0.135
Te: 0.075 0.159 0.489
Te: 0.195 0.444 0.654
Te: 0.808 0.268 0.346
Te: 0.924 0.552 0.514
Cl: 0.126 0.852 0.803
Cl: 0.200 0.560 0.059
Cl: 0.332 0.162 0.038
Cl: 0.390 0.885 0.308
Cl: 0.443 0.182 0.692
Cl: 0.550 0.558 0.311
Cl: 0.578 0.842 0.682
Cl: 0.684 0.594 0.974
Cl: 0.797 0.166 0.926
Cl: 0.851 0.910 0.210
O: 0.495 0.867 0.998

total moment = 0.06 μB/atom
SG = No. 1
calculated volume = 572.8 Å³/f.u.
density = 3.11 g cm⁻³


Energy relative to the most stable one, in kJ/mol of atoms: w 2.5; x 0.0


## w
A geometry-optimized LiBi2O4 structure. Source: Materials Project, functional PBE.

a b c (Å): 8.210 8.210 6.117
angles (deg): 90.00 90.00 90.00
Positions (direct):
Li: 0.250 0.250 0.057
Li: 0.250 0.250 0.557
Li: 0.750 0.750 0.443
Li: 0.750 0.750 0.943
Bi: 0.074 0.574 0.250
Bi: 0.074 0.926 0.750
Bi: 0.426 0.574 0.750
Bi: 0.426 0.926 0.250
Bi: 0.574 0.074 0.750
Bi: 0.574 0.426 0.250
Bi: 0.926 0.074 0.250
Bi: 0.926 0.426 0.750
O: 0.022 0.164 0.589
O: 0.022 0.336 0.089
O: 0.164 0.022 0.089
O: 0.164 0.478 0.589
O: 0.336 0.022 0.589
O: 0.336 0.478 0.089
O: 0.478 0.164 0.089
O: 0.478 0.336 0.589
O: 0.522 0.664 0.411
O: 0.522 0.836 0.911
O: 0.664 0.522 0.911
O: 0.664 0.978 0.411
O: 0.836 0.522 0.411
O: 0.836 0.978 0.911
O: 0.978 0.664 0.911
O: 0.978 0.836 0.411

total moment = 0.00 μB/atom
SG = No. 130
calculated volume = 103.1 Å³/f.u.
density = 7.88 g cm⁻³


## x
A geometry-optimized LiBi2O4 structure. Source: Materials Project, functional PBE.

a b c (Å): 5.516 6.123 11.593
angles (deg): 90.00 90.00 90.00
Positions (direct):
Li: 0.000 0.000 0.000
Li: 0.000 0.500 0.500
Li: 0.500 0.000 0.500
Li: 0.500 0.500 0.000
Bi: 0.009 0.098 0.360
Bi: 0.009 0.402 0.860
Bi: 0.491 0.598 0.360
Bi: 0.491 0.902 0.860
Bi: 0.509 0.098 0.140
Bi: 0.509 0.402 0.640
Bi: 0.991 0.598 0.140
Bi: 0.991 0.902 0.640
O: 0.159 0.559 0.688
O: 0.159 0.941 0.188
O: 0.178 0.676 0.965
O: 0.178 0.824 0.465
O: 0.322 0.176 0.965
O: 0.322 0.324 0.465
O: 0.341 0.059 0.688
O: 0.341 0.441 0.188
O: 0.659 0.559 0.812
O: 0.659 0.941 0.312
O: 0.678 0.676 0.535
O: 0.678 0.824 0.035
O: 0.822 0.176 0.535
O: 0.822 0.324 0.035
O: 0.841 0.059 0.812
O: 0.841 0.441 0.312

total moment = 0.00 μB/atom
SG = No. 61
calculated volume = 97.9 Å³/f.u.
density = 8.29 g cm⁻³


Energy relative to the most stable one, in kJ/mol of atoms: w 3.2; x 0.0


## w
A geometry-optimized ZrCrCuS4 structure. Source: Materials Project, functional PBE.

a b c (Å): 3.568 11.246 12.846
angles (deg): 90.00 90.00 90.00
Positions (direct):
Zr: 0.000 0.167 0.000
Zr: 0.000 0.200 0.532
Zr: 0.500 0.800 0.032
Zr: 0.500 0.833 0.500
Cr: 0.000 0.652 0.325
Cr: 0.000 0.689 0.801
Cr: 0.500 0.311 0.301
Cr: 0.500 0.348 0.825
Cu: 0.000 0.014 0.776
Cu: 0.000 0.470 0.590
Cu: 0.500 0.530 0.090
Cu: 0.500 0.986 0.276
S: 0.000 0.161 0.337
S: 0.000 0.315 0.706
S: 0.000 0.381 0.946
S: 0.000 0.447 0.258
S: 0.000 0.646 0.983
S: 0.000 0.775 0.627
S: 0.000 0.872 0.355
S: 0.000 0.952 0.094
S: 0.500 0.048 0.594
S: 0.500 0.128 0.855
S: 0.500 0.225 0.127
S: 0.500 0.354 0.483
S: 0.500 0.553 0.758
S: 0.500 0.619 0.446
S: 0.500 0.685 0.206
S: 0.500 0.839 0.837

total moment = 0.43 μB/atom
SG = No. 31
calculated volume = 128.9 Å³/f.u.
density = 4.32 g cm⁻³


## x
A geometry-optimized ZrCrCuS4 structure. Source: Materials Project, functional PBE.

a b c (Å): 7.233 7.233 7.233
angles (deg): 119.85 90.08 120.06
Positions (direct):
Zr: 0.239 0.250 0.489
Zr: 0.761 0.750 0.511
Cr: 0.759 0.259 0.500
Cr: 0.759 0.759 0.000
Cu: 0.147 0.522 0.125
Cu: 0.397 0.022 0.875
S: 0.000 0.743 0.757
S: 0.511 0.248 0.259
S: 0.511 0.752 0.763
S: 0.529 0.282 0.747
S: 0.535 0.782 0.253
S: 0.986 0.243 0.243
S: 0.988 0.252 0.741
S: 0.988 0.748 0.237

total moment = 0.12 μB/atom
SG = No. 46
calculated volume = 133.9 Å³/f.u.
density = 4.15 g cm⁻³


Energy relative to the most stable one, in kJ/mol of atoms: w 8.2; x 0.0


## w
A geometry-optimized MgTe4Mo2W2S4 structure. Source: Materials Project, functional PBE.

a b c (Å): 3.352 3.352 38.289
angles (deg): 90.00 90.00 60.00
Positions (direct):
Mg: 0.000 0.000 0.000
Te: 0.640 0.640 0.732
Te: 0.640 0.640 0.831
Te: 0.974 0.974 0.169
Te: 0.974 0.974 0.268
Mo: 0.974 0.974 0.406
Mo: 0.974 0.974 0.782
W: 0.640 0.640 0.218
W: 0.640 0.640 0.594
S: 0.640 0.640 0.367
S: 0.640 0.640 0.446
S: 0.974 0.974 0.554
S: 0.974 0.974 0.634

total moment = 0.00 μB/atom
SG = No. 8
calculated volume = 372.5 Å³/f.u.
density = 5.45 g cm⁻³


## x
A geometry-optimized MgTe4Mo2W2S4 structure. Source: Materials Project, functional PBE.

a b c (Å): 3.361 3.361 45.440
angles (deg): 90.00 90.00 120.00
Positions (direct):
Mg: 0.000 0.000 0.000
Te: 0.333 0.667 0.071
Te: 0.333 0.667 0.155
Te: 0.667 0.333 0.500
Te: 0.667 0.333 0.584
Mo: 0.333 0.667 0.911
Mo: 0.667 0.333 0.730
W: 0.333 0.667 0.542
W: 0.667 0.333 0.113
S: 0.333 0.667 0.697
S: 0.333 0.667 0.763
S: 0.667 0.333 0.878
S: 0.667 0.333 0.944

total moment = 0.00 μB/atom
SG = No. 156
calculated volume = 444.5 Å³/f.u.
density = 4.57 g cm⁻³


Energy relative to the most stable one, in kJ/mol of atoms: w 0.0; x 1.1


## w
A geometry-optimized Li3Ti2P3O12 structure. Source: Materials Project, functional PBE.

a b c (Å): 8.461 8.466 9.127
angles (deg): 62.60 62.39 60.07
Positions (direct):
Li: 0.000 0.000 0.000
Li: 0.061 0.411 0.722
Li: 0.258 0.346 0.997
Li: 0.408 0.809 0.728
Li: 0.573 0.652 0.212
Li: 0.763 0.239 0.512
Ti: 0.178 0.931 0.298
Ti: 0.473 0.216 0.425
Ti: 0.674 0.424 0.820
Ti: 0.972 0.736 0.902
P: 0.079 0.121 0.613
P: 0.287 0.617 0.110
P: 0.375 0.535 0.611
P: 0.581 0.037 0.112
P: 0.790 0.824 0.614
P: 0.875 0.329 0.111
O: 0.080 0.208 0.127
O: 0.122 0.087 0.445
O: 0.122 0.928 0.762
O: 0.159 0.587 0.053
O: 0.180 0.535 0.759
O: 0.187 0.822 0.129
O: 0.201 0.221 0.595
O: 0.327 0.467 0.278
O: 0.347 0.686 0.438
O: 0.458 0.933 0.140
O: 0.479 0.335 0.585
O: 0.481 0.611 0.960
O: 0.496 0.574 0.667
O: 0.532 0.072 0.282
O: 0.532 0.234 0.971
O: 0.587 0.946 0.595
O: 0.723 0.283 0.286
O: 0.796 0.915 0.056
O: 0.810 0.866 0.753
O: 0.825 0.608 0.670
O: 0.833 0.545 0.061
O: 0.863 0.248 0.666
O: 0.870 0.284 0.965
O: 0.942 0.880 0.441

total moment = 0.10 μB/atom
SG = No. 1
calculated volume = 239.6 Å³/f.u.
density = 2.78 g cm⁻³


## x
A geometry-optimized Li3Ti2P3O12 structure. Source: Materials Project, functional PBE.

a b c (Å): 8.469 8.469 8.694
angles (deg): 117.48 117.48 63.66
Positions (direct):
Li: 0.000 0.500 0.500
Li: 0.131 0.258 0.161
Li: 0.258 0.131 0.661
Li: 0.500 0.000 0.000
Li: 0.742 0.869 0.339
Li: 0.869 0.742 0.839
Ti: 0.145 0.640 0.354
Ti: 0.360 0.855 0.146
Ti: 0.640 0.145 0.854
Ti: 0.855 0.360 0.646
P: 0.051 0.949 0.750
P: 0.251 0.447 0.961
P: 0.447 0.251 0.461
P: 0.553 0.749 0.539
P: 0.749 0.553 0.039
P: 0.949 0.051 0.250
O: 0.020 0.114 0.695
O: 0.059 0.765 0.585
O: 0.089 0.453 0.774
O: 0.114 0.020 0.195
O: 0.187 0.464 0.108
O: 0.235 0.941 0.915
O: 0.252 0.395 0.419
O: 0.323 0.610 0.021
O: 0.390 0.677 0.479
O: 0.395 0.252 0.919
O: 0.453 0.089 0.274
O: 0.464 0.187 0.608
O: 0.536 0.813 0.392
O: 0.547 0.911 0.726
O: 0.605 0.748 0.081
O: 0.610 0.323 0.521
O: 0.677 0.390 0.979
O: 0.748 0.605 0.581
O: 0.765 0.059 0.085
O: 0.813 0.536 0.892
O: 0.886 0.980 0.805
O: 0.911 0.547 0.226
O: 0.941 0.235 0.415
O: 0.980 0.886 0.305

total moment = 0.10 μB/atom
SG = No. 15
calculated volume = 234.6 Å³/f.u.
density = 2.84 g cm⁻³


Energy relative to the most stable one, in kJ/mol of atoms: w 0.0; x 2.4